Li2MnVP2H2O10 | PBE with a Hubbard U | optimized geometry

Properties
crystal system = triclinic
E above lowest polymorph = 11 meV per atom
E_form = -2.41 eV/atom

Cell lengths 5.504, 7.334, 5.162 Å; angles 106.60, 99.63, 107.65 degrees
Atoms (fractional coordinates):
Li: 0.388 0.825 0.743
Li: 0.612 0.175 0.257
Mn: 0.000 0.500 0.000
V: 0.000 0.000 0.000
P: 0.367 0.234 0.672
P: 0.633 0.766 0.328
H: 0.075 0.345 0.358
H: 0.926 0.655 0.642
O: 0.041 0.720 0.841
O: 0.222 0.384 0.710
O: 0.333 0.663 0.305
O: 0.259 0.072 0.367
O: 0.338 0.116 0.882
O: 0.662 0.884 0.118
O: 0.742 0.928 0.633
O: 0.666 0.337 0.695
O: 0.778 0.616 0.290
O: 0.959 0.280 0.159

***

Li2MnVP2H2O10 | PBE with a Hubbard U | optimized geometry

Properties
crystal system = triclinic
E above lowest polymorph = 23 meV per atom
E_form = -2.40 eV/atom

Cell lengths 5.489, 7.432, 14.350 Å; angles 95.14, 91.48, 110.04 degrees
Atoms (fractional coordinates):
Li: 0.256 0.862 0.695
Li: 0.068 0.466 0.641
Li: 0.408 0.797 0.975
Li: 0.594 0.203 0.026
Li: 0.933 0.538 0.358
Li: 0.743 0.133 0.306
Mn: 0.336 0.335 0.835
Mn: 0.667 0.668 0.667
Mn: 0.668 0.667 0.166
V: 0.334 0.334 0.332
V: 0.994 0.997 0.499
V: 0.001 0.999 0.000
P: 0.014 0.379 0.146
P: 0.320 0.954 0.187
P: 0.348 0.715 0.481
P: 0.641 0.285 0.518
P: 0.682 0.048 0.813
P: 0.992 0.619 0.855
H: 0.053 0.988 0.325
H: 0.278 0.348 0.007
H: 0.390 0.325 0.661
H: 0.617 0.683 0.339
H: 0.722 0.652 0.992
H: 0.943 0.009 0.676
O: 0.093 0.831 0.902
O: 0.060 0.841 0.225
O: 0.138 0.796 0.448
O: 0.212 0.543 0.886
O: 0.298 0.958 0.078
O: 0.036 0.373 0.254
O: 0.351 0.708 0.588
O: 0.250 0.506 0.431
O: 0.055 0.097 0.372
O: 0.274 0.492 0.108
O: 0.281 0.238 0.961
O: 0.577 0.836 0.766
O: 0.541 0.878 0.214
O: 0.389 0.434 0.707
O: 0.620 0.826 0.447
O: 0.371 0.173 0.552
O: 0.618 0.573 0.293
O: 0.461 0.125 0.787
O: 0.423 0.166 0.233
O: 0.721 0.761 0.039
O: 0.730 0.508 0.892
O: 0.943 0.899 0.630
O: 0.744 0.495 0.567
O: 0.630 0.292 0.410
O: 0.980 0.623 0.747
O: 0.706 0.043 0.922
O: 0.792 0.454 0.119
O: 0.852 0.202 0.547
O: 0.942 0.159 0.774
O: 0.911 0.168 0.099

***

Li2MnVP2H2O10 | PBE with a Hubbard U | optimized geometry

Properties
crystal system = triclinic
E above lowest polymorph = 15 meV per atom
E_form = -2.40 eV/atom

Cell lengths 5.418, 7.369, 14.302 Å; angles 92.80, 94.52, 105.43 degrees
Atoms (fractional coordinates):
Li: 0.849 0.423 0.249
Li: 0.816 0.243 0.417
Li: 0.520 0.094 0.915
Li: 0.482 0.906 0.085
Li: 0.183 0.757 0.583
Li: 0.150 0.577 0.751
Mn: 0.666 0.167 0.667
Mn: 0.667 0.667 0.666
Mn: 0.333 0.333 0.334
V: 0.000 0.500 0.000
V: 0.001 0.001 0.000
V: 0.334 0.833 0.333
P: 0.807 0.672 0.440
P: 0.860 0.994 0.226
P: 0.469 0.338 0.108
P: 0.531 0.663 0.892
P: 0.142 0.009 0.773
P: 0.191 0.324 0.561
H: 0.937 0.218 0.878
H: 0.725 0.457 0.786
H: 0.391 0.117 0.453
H: 0.608 0.876 0.547
H: 0.277 0.550 0.214
H: 0.063 0.783 0.121
O: 0.865 0.052 0.123
O: 0.940 0.172 0.295
O: 0.966 0.142 0.758
O: 0.900 0.217 0.566
O: 0.899 0.221 0.945
O: 0.756 0.442 0.101
O: 0.726 0.494 0.371
O: 0.801 0.613 0.543
O: 0.773 0.459 0.721
O: 0.378 0.159 0.037
O: 0.464 0.278 0.210
O: 0.437 0.117 0.387
O: 0.704 0.528 0.908
O: 0.629 0.804 0.424
O: 0.433 0.116 0.767
O: 0.573 0.884 0.231
O: 0.367 0.191 0.575
O: 0.296 0.472 0.092
O: 0.560 0.874 0.612
O: 0.535 0.723 0.790
O: 0.623 0.842 0.962
O: 0.229 0.549 0.280
O: 0.194 0.382 0.458
O: 0.273 0.501 0.630
O: 0.244 0.559 0.900
O: 0.102 0.780 0.055
O: 0.094 0.782 0.435
O: 0.038 0.863 0.243
O: 0.061 0.832 0.703
O: 0.139 0.951 0.875

***

LiMnVP2H2O10 | PBE with a Hubbard U | optimized geometry

Properties
crystal system = triclinic
E above lowest polymorph = 3 meV per atom
E_form = -2.33 eV/atom

Cell lengths 6.791, 7.364, 8.132 Å; angles 94.65, 88.81, 116.93 degrees
Atoms (fractional coordinates):
Li: 0.244 0.149 0.314
Li: 0.756 0.851 0.686
Mn: 0.000 0.000 0.000
Mn: 0.500 0.000 0.500
V: 0.500 0.500 0.000
V: 0.000 0.500 0.500
P: 0.714 0.230 0.161
P: 0.788 0.772 0.339
P: 0.212 0.228 0.661
P: 0.286 0.770 0.839
H: 0.135 0.347 0.148
H: 0.648 0.336 0.661
H: 0.352 0.664 0.339
H: 0.865 0.653 0.852
O: 0.661 0.354 0.035
O: 0.989 0.885 0.235
O: 0.514 0.129 0.270
O: 0.765 0.069 0.063
O: 0.266 0.072 0.552
O: 0.925 0.380 0.265
O: 0.834 0.654 0.473
O: 0.423 0.374 0.766
O: 0.228 0.282 0.100
O: 0.729 0.282 0.584
O: 0.271 0.718 0.416
O: 0.772 0.718 0.900
O: 0.577 0.626 0.234
O: 0.166 0.346 0.527
O: 0.075 0.620 0.735
O: 0.734 0.928 0.448
O: 0.235 0.931 0.937
O: 0.486 0.871 0.730
O: 0.011 0.115 0.765
O: 0.339 0.646 0.965

***

Li2MnVP2H2O10 | PBE with a Hubbard U | optimized geometry

Properties
crystal system = triclinic
E above lowest polymorph = 15 meV per atom
E_form = -2.40 eV/atom

Cell lengths 5.435, 10.101, 10.350 Å; angles 79.65, 83.66, 79.31 degrees
Atoms (fractional coordinates):
Li: 0.207 0.192 0.363
Li: 0.127 0.475 0.301
Li: 0.464 0.144 0.967
Li: 0.536 0.856 0.033
Li: 0.873 0.525 0.699
Li: 0.793 0.808 0.637
Mn: 0.333 0.666 0.665
Mn: 0.667 0.334 0.335
Mn: 0.500 0.500 0.000
V: 0.171 0.831 0.333
V: 0.829 0.169 0.667
V: 0.000 0.000 0.000
P: 0.066 0.305 0.070
P: 0.269 0.364 0.595
P: 0.612 0.031 0.262
P: 0.388 0.969 0.738
P: 0.731 0.636 0.405
P: 0.934 0.695 0.930
H: 0.173 0.765 0.105
H: 0.165 0.898 0.563
H: 0.501 0.563 0.232
H: 0.499 0.437 0.768
H: 0.835 0.102 0.437
H: 0.827 0.235 0.895
O: 0.117 0.148 0.073
O: 0.021 0.337 0.212
O: 0.023 0.322 0.667
O: 0.160 0.035 0.656
O: 0.157 0.631 0.015
O: 0.320 0.348 0.001
O: 0.194 0.854 0.129
O: 0.335 0.000 0.882
O: 0.313 0.330 0.455
O: 0.225 0.522 0.590
O: 0.140 0.810 0.540
O: 0.564 0.188 0.258
O: 0.477 0.474 0.210
O: 0.499 0.299 0.678
O: 0.365 0.986 0.329
O: 0.635 0.014 0.671
O: 0.501 0.701 0.322
O: 0.523 0.526 0.790
O: 0.436 0.812 0.742
O: 0.860 0.190 0.460
O: 0.775 0.478 0.410
O: 0.687 0.670 0.545
O: 0.665 0.000 0.118
O: 0.806 0.146 0.871
O: 0.680 0.652 0.999
O: 0.843 0.369 0.985
O: 0.840 0.965 0.344
O: 0.977 0.678 0.333
O: 0.979 0.663 0.788
O: 0.883 0.852 0.927

***

Li2MnVP2H2O10 | PBE with a Hubbard U | optimized geometry

Properties
crystal system = triclinic
E above lowest polymorph = 14 meV per atom
E_form = -2.40 eV/atom

Cell lengths 5.502, 10.142, 10.154 Å; angles 80.04, 83.18, 80.41 degrees
Atoms (fractional coordinates):
Li: 0.866 0.024 0.197
Li: 0.800 0.312 0.131
Li: 0.134 0.976 0.803
Li: 0.200 0.688 0.869
Li: 0.538 0.359 0.530
Li: 0.462 0.641 0.470
Mn: 0.837 0.664 0.165
Mn: 0.000 0.500 0.500
Mn: 0.163 0.336 0.835
V: 0.336 0.167 0.164
V: 0.500 0.000 0.500
V: 0.664 0.833 0.836
P: 0.730 0.136 0.901
P: 0.948 0.197 0.430
P: 0.270 0.864 0.099
P: 0.052 0.803 0.570
P: 0.406 0.469 0.234
P: 0.594 0.531 0.766
H: 0.831 0.597 0.940
H: 0.836 0.730 0.394
H: 0.169 0.403 0.060
H: 0.164 0.270 0.606
H: 0.505 0.932 0.271
H: 0.495 0.068 0.729
O: 0.778 0.979 0.909
O: 0.672 0.168 0.048
O: 0.700 0.153 0.494
O: 0.832 0.865 0.487
O: 0.807 0.469 0.852
O: 0.985 0.178 0.839
O: 0.856 0.686 0.965
O: 0.000 0.834 0.717
O: 0.000 0.166 0.283
O: 0.900 0.354 0.424
O: 0.814 0.641 0.369
O: 0.222 0.021 0.091
O: 0.144 0.314 0.035
O: 0.168 0.135 0.513
O: 0.015 0.822 0.161
O: 0.300 0.847 0.506
O: 0.193 0.531 0.148
O: 0.186 0.359 0.631
O: 0.100 0.646 0.576
O: 0.521 0.021 0.297
O: 0.451 0.311 0.241
O: 0.359 0.501 0.379
O: 0.328 0.832 0.952
O: 0.479 0.979 0.703
O: 0.339 0.492 0.833
O: 0.518 0.198 0.814
O: 0.482 0.802 0.186
O: 0.661 0.508 0.167
O: 0.641 0.499 0.621
O: 0.549 0.689 0.759

***

Number 1: calculated volume 182.8 Å³/cell. Number 2: calculated volume 546.7 Å³/cell. Number 3: calculated volume 547.3 Å³/cell. Number 4: calculated volume 361.3 Å³/cell. Number 5: calculated volume 547.5 Å³/cell. Number 6: calculated volume 547.9 Å³/cell.